HfMg6C (PBE, optimized geometry); mass density = 3.60 g/cm³; total moment = 0.001 μB/atom; energy relative to the lowest polymorph listed for this composition = 316 meV/atom; E_form = 0.543 eV/atom; DFT total energy = -0.22457 Ry per atom
1.0
4.728 0.000 0.000
0.000 5.431 0.000
0.000 0.000 12.069
Mg Hf C
12 2 2
Cartesian
0.000 4.064 6.982
0.000 4.082 0.948
0.000 2.715 9.599
2.364 1.343 11.437
2.364 4.058 5.402
2.364 1.373 5.402
0.000 2.715 4.138
0.000 0.000 3.564
0.000 0.000 10.172
0.000 1.349 0.948
2.364 4.088 11.437
0.000 1.367 6.982
2.364 0.000 8.298
2.364 2.715 2.264
2.364 0.000 1.470
2.364 2.715 7.504

***

Rb2ReF6 (PBE, optimized geometry); mass density = 4.87 g/cm³; E_form = -2.777 eV/atom; space group = P-3m1 (164); DFT total energy = -0.39296 Ry per atom; corrected total energy (MP2020 scheme) = -50.9 eV for the cell shown
1.0
6.148 0.000 0.000
-3.074 5.324 0.000
0.000 0.000 4.906
Rb Re F
2 1 6
Cartesian
0.000 3.550 1.464
3.074 1.775 3.443
0.000 0.000 0.000
0.000 1.679 3.831
-1.620 4.485 3.831
1.454 0.839 1.075
1.620 4.485 3.831
4.694 0.839 1.075
3.074 3.646 1.075

***

SnS16I4 (PBE, optimized geometry); mass density = 1.85 g/cm³; total moment = 0.000 μB/atom; energy relative to the lowest polymorph listed for this composition = 55 meV/atom; E_form = -0.490 eV/atom; space group = Fdd2 (43); DFT total energy = -0.26953 Ry per atom; corrected total energy (MP2020 scheme) = -173.1 eV for the cell shown
1.0
0.000 11.897 7.463
11.490 0.000 7.463
11.490 11.897 0.000
Sn S I
2 32 8
Cartesian
0.000 0.000 0.000
5.745 5.948 3.732
13.144 5.780 4.976
15.533 11.790 5.246
12.939 9.653 5.321
13.455 11.500 4.685
15.865 10.727 6.930
11.772 9.913 7.022
15.581 11.728 8.708
9.525 12.294 4.685
9.788 6.056 8.978
12.873 9.793 8.766
7.710 6.345 8.417
10.041 14.141 5.321
13.523 11.694 9.159
7.448 12.004 5.246
11.208 13.881 7.022
10.120 7.118 10.662
15.786 15.601 9.053
15.270 17.449 8.417
7.194 8.193 9.053
16.953 15.862 10.753
9.836 18.014 4.976
7.115 13.067 6.930
9.458 12.100 9.159
10.108 14.001 8.766
7.399 12.066 8.708
13.193 17.738 8.978
19.268 18.049 12.891
17.517 19.829 10.753
15.853 15.741 12.498
12.860 16.675 10.662
18.618 19.949 12.498
15.203 17.642 12.891
9.235 0.122 5.979
11.342 9.606 1.431
8.000 6.071 2.247
0.148 2.291 1.431
3.490 5.826 2.247
5.893 3.658 5.163
5.597 8.239 5.163
2.255 11.775 5.979

***

BiTeCl (PBE, optimized geometry); mass density = 5.45 g/cm³; E_form = -0.802 eV/atom; piezoelectric modulus e_max = 0.3 C/m2; space group = P6_3mc (186); DFT total energy = -0.26148 Ry per atom; corrected total energy (MP2020 scheme) = -22.6 eV for the cell shown
1.0
4.303 0.000 0.000
-2.151 3.727 0.000
0.000 0.000 14.142
Bi Te Cl
2 2 2
Cartesian
0.000 2.484 0.000
2.151 1.242 7.071
0.000 2.484 8.836
2.151 1.242 1.765
0.000 0.000 5.428
0.000 0.000 12.499